Material: Bi15Ru16O55
Method: DFT, PBE
State: relaxed

a = 12.675 Å, b = 7.356 Å, c = 48.013 Å
α = 90.00°, β = 95.27°, γ = 90.00°
Space group Cm (No. 8)
Inequivalent atoms, fractional coordinates:
Bi1 0.000 0.000 0.000 x2
Bi2 0.000 0.250 0.748 x4
Bi3 0.000 0.500 0.497 x2
Bi4 0.062 0.000 0.685 x2
Bi5 0.062 0.500 0.186 x2
Bi6 0.124 0.000 0.369 x2
Bi7 0.125 0.250 0.623 x4
Bi8 0.125 0.500 0.873 x2
Bi9 0.127 0.247 0.124 x4
Bi10 0.187 0.500 0.560 x2
Bi11 0.196 0.000 0.063 x2
Bi12 0.249 0.250 0.497 x4
Bi13 0.250 0.000 0.748 x2
Bi14 0.250 0.249 0.998 x4
Bi15 0.311 0.000 0.434 x2
Bi16 0.313 0.500 0.936 x2
Bi17 0.374 0.251 0.371 x4
Bi18 0.375 0.250 0.873 x4
Bi19 0.375 0.500 0.623 x2
Bi20 0.423 0.500 0.306 x2
Bi21 0.437 0.000 0.810 x2
Bi22 0.489 0.244 0.246 x4
Ru1 0.000 0.000 0.497 x2
Ru2 0.001 0.500 0.998 x2
Ru3 0.062 0.249 0.435 x4
Ru4 0.062 0.249 0.935 x4
Ru5 0.062 0.500 0.685 x2
Ru6 0.064 0.000 0.185 x2
Ru7 0.124 0.500 0.373 x2
Ru8 0.125 0.000 0.873 x2
Ru9 0.186 0.250 0.309 x4
Ru10 0.187 0.000 0.560 x2
Ru11 0.187 0.250 0.810 x4
Ru12 0.189 0.500 0.061 x2
Ru13 0.248 0.000 0.248 x2
Ru14 0.250 0.500 0.748 x2
Ru15 0.312 0.000 0.935 x2
Ru16 0.312 0.250 0.685 x4
Ru17 0.313 0.250 0.185 x4
Ru18 0.313 0.500 0.435 x2
Ru19 0.375 0.000 0.622 x2
Ru20 0.375 0.500 0.122 x2
Ru21 0.437 0.250 0.560 x4
Ru22 0.437 0.500 0.810 x2
Ru23 0.439 0.000 0.310 x2
Ru24 0.439 0.249 0.061 x4
O1 0.012 0.500 0.445 x2
O2 0.014 0.000 0.944 x2
O3 0.018 0.500 0.644 x2
O4 0.019 0.000 0.145 x2
O5 0.032 0.301 0.300 x4
O6 0.033 0.204 0.800 x4
O7 0.047 0.000 0.638 x2
O8 0.061 0.207 0.476 x4
O9 0.061 0.300 0.976 x4
O10 0.064 0.206 0.894 x4
O11 0.065 0.301 0.394 x4
O12 0.067 0.500 0.231 x2
O13 0.078 0.000 0.732 x2
O14 0.092 0.205 0.570 x4
O15 0.095 0.295 0.071 x4
O16 0.107 0.500 0.726 x2
O17 0.110 0.000 0.225 x2
O18 0.111 0.000 0.427 x2
O19 0.112 0.500 0.925 x2
O20 0.135 0.000 0.320 x2
O21 0.139 0.500 0.820 x2
O22 0.142 0.500 0.020 x2
O23 0.143 0.000 0.519 x2
O24 0.158 0.201 0.176 x4
O25 0.158 0.296 0.675 x4
O26 0.172 0.500 0.513 x2
O27 0.174 0.000 0.016 x2
O28 0.185 0.202 0.851 x4
O29 0.187 0.289 0.351 x4
O30 0.188 0.182 0.271 x4
O31 0.189 0.296 0.769 x4
O32 0.198 0.000 0.112 x2
O33 0.203 0.500 0.607 x2
O34 0.217 0.203 0.945 x4
O35 0.218 0.295 0.445 x4
O36 0.231 0.000 0.601 x2
O37 0.232 0.500 0.101 x2
O38 0.237 0.000 0.800 x2
O39 0.237 0.500 0.305 x2
O40 0.262 0.500 0.192 x2
O41 0.263 0.000 0.695 x2
O42 0.268 0.000 0.894 x2
O43 0.269 0.500 0.393 x2
O44 0.283 0.204 0.550 x4
O45 0.284 0.297 0.051 x4
O46 0.296 0.000 0.386 x2
O47 0.297 0.500 0.889 x2
O48 0.308 0.312 0.145 x4
O49 0.311 0.296 0.726 x4
O50 0.314 0.204 0.644 x4
O51 0.319 0.192 0.226 x4
O52 0.327 0.000 0.481 x2
O53 0.328 0.500 0.983 x2
O54 0.342 0.297 0.820 x4
O55 0.343 0.208 0.319 x4
O56 0.355 0.000 0.977 x2
O57 0.356 0.500 0.476 x2
O58 0.361 0.000 0.179 x2
O59 0.362 0.500 0.675 x2
O60 0.388 0.500 0.570 x2
O61 0.394 0.500 0.769 x2
O62 0.395 0.000 0.066 x2
O63 0.398 0.000 0.268 x2
O64 0.407 0.204 0.925 x4
O65 0.408 0.298 0.425 x4
O66 0.422 0.000 0.763 x2
O67 0.436 0.205 0.601 x4
O68 0.439 0.210 0.019 x4
O69 0.439 0.297 0.519 x4
O70 0.440 0.316 0.100 x4
O71 0.449 0.500 0.350 x2
O72 0.453 0.000 0.857 x2
O73 0.467 0.204 0.695 x4
O74 0.470 0.293 0.196 x4
O75 0.481 0.000 0.351 x2
O76 0.482 0.500 0.851 x2
O77 0.486 0.000 0.550 x2
O78 0.491 0.500 0.050 x2

Computed properties:
- E_form: -1537 meV per atom

---

Material: BiRu2O7
Method: DFT, PBE
State: relaxed

a = 7.222 Å, b = 7.271 Å, c = 10.184 Å
α = 90.00°, β = 90.00°, γ = 90.00°
Space group I2_12_12_1 (No. 24)
Inequivalent atoms, fractional coordinates:
Bi1 0.250 0.231 0.000 x4
Ru1 0.005 0.500 0.250 x4
Ru2 0.250 0.252 0.500 x4
O1 0.000 0.250 0.174 x4
O2 0.000 0.250 0.550 x4
O3 0.000 0.250 0.887 x4
O4 0.187 0.453 0.379 x8
O5 0.192 0.042 0.380 x8

Computed properties:
- E_form: -1349 meV per atom